4
Lattice="3.8679 0.0000 0.0000 -1.9340 3.3497 0.0000 0.0000 0.0000 5.2449" Properties=species:S:1:pos:R:3 comment="LiAuC2 | Materials Project | PBE | optimized geometry" energy_ev_per_atom=-5.682 total_magnetization_mub_per_cell=0.000 pbc="T T T"
Li 0.0000 0.0000 0.0000
Au 1.9340 1.1166 2.6224
C 1.9340 1.1166 0.6241
C 1.9340 1.1166 4.6207

108
Lattice="6.8246 0.0000 0.0000 0.0000 11.8845 0.0000 0.0000 0.0000 12.2305" Properties=species:S:1:pos:R:3 comment="ZnH14SO11 | Materials Project | PBE | optimized geometry" energy_ev_per_atom=-5.105 total_magnetization_mub_per_cell=0.000 pbc="T T T"
Zn 0.2752 0.9218 4.8123
Zn 3.1371 10.9628 10.9275
Zn 3.6875 5.0205 7.4182
Zn 6.5494 6.8640 1.3030
H 0.0272 0.2561 1.5773
H 0.2209 10.5986 6.4508
H 0.2440 7.5353 10.9640
H 0.3092 6.8051 5.9604
H 0.6788 3.1401 3.3719
H 0.6863 10.8123 0.0004
H 0.8984 9.0760 2.4118
H 1.1687 9.3042 11.8805
H 1.3031 10.9526 8.9215
H 1.3455 5.0614 8.9019
H 1.3910 10.3936 5.4045
H 1.6040 6.9171 11.5740
H 1.6702 0.5847 9.1182
H 1.6840 6.5588 8.4101
H 1.7283 5.3257 2.2949
H 1.7421 11.2998 3.0030
H 1.8084 4.9674 5.4588
H 2.0213 1.4909 11.5197
H 2.0668 6.8231 2.7866
H 2.1093 0.9319 2.8063
H 2.2436 2.5804 5.7652
H 2.5139 2.8085 8.5270
H 2.7260 1.0723 6.1157
H 2.7335 8.7444 9.4871
H 3.1032 5.0795 12.0756
H 3.1684 4.3492 4.8488
H 3.1914 1.2860 0.3356
H 3.3851 11.6285 7.6925
H 3.4395 5.6862 10.6532
H 3.6332 7.2283 5.7797
H 3.6563 10.2915 1.2664
H 3.7215 11.0217 6.2701
H 4.0911 2.8021 8.8586
H 4.0986 7.0145 12.2301
H 4.3107 8.7508 9.8187
H 4.5810 8.5227 0.3500
H 4.7154 6.8742 3.3090
H 4.7578 0.8808 3.3286
H 4.8033 7.4332 6.8260
H 5.0163 10.9097 0.6565
H 5.0826 5.3576 3.1123
H 5.0964 11.2680 3.8203
H 5.1406 0.6165 9.9356
H 5.1544 6.5270 9.2275
H 5.2207 0.9749 6.7717
H 5.4336 4.4514 0.7107
H 5.4791 11.0037 9.4439
H 5.5216 5.0104 9.4242
H 5.6559 3.3619 6.4653
H 5.9263 3.1338 3.7035
H 6.1384 4.8700 6.1148
H 6.1458 9.0824 2.7434
H 6.5155 0.8628 0.1549
H 6.5807 1.5931 7.3817
H 6.6037 4.6563 11.8949
H 6.7974 6.1983 4.5380
S 0.0448 2.6604 9.9784
S 3.3675 9.2242 3.8632
S 3.4571 3.2819 2.2521
S 6.7798 8.6027 8.3673
O 0.0060 8.7929 2.0885
O 0.1138 4.1592 9.9987
O 0.4279 6.0033 5.3925
O 0.4879 2.1184 11.2860
O 0.5102 10.8442 5.5449
O 0.8165 7.5073 11.7629
O 0.9405 2.1384 8.8797
O 1.3415 0.3293 3.0098
O 1.3508 8.1728 8.6489
O 1.3965 10.2626 11.8057
O 1.5497 6.2945 2.1360
O 1.8627 5.5900 8.2513
O 2.0159 1.6220 5.6905
O 2.0615 3.7117 2.5337
O 2.0708 11.5553 9.1250
O 2.4719 9.7461 2.7645
O 2.5958 4.3772 5.6476
O 2.9021 1.0404 11.6602
O 2.9244 9.7661 5.1707
O 2.9844 5.8812 11.5077
O 3.2986 7.7254 3.8834
O 3.4064 3.0916 8.2037
O 3.4183 9.0339 10.1420
O 3.5261 1.7831 2.2318
O 3.8402 11.8235 6.8380
O 3.9003 3.8238 0.9445
O 3.9225 6.9827 6.6855
O 4.2288 10.3195 0.4676
O 4.3528 3.8039 3.3508
O 4.7539 5.6130 9.2207
O 4.7632 9.6540 3.5816
O 4.8088 7.5643 0.4247
O 4.9620 11.5323 10.0945
O 5.2750 0.3522 3.9792
O 5.4282 4.3203 6.5400
O 5.4738 2.2305 9.6968
O 5.4831 6.2715 3.1055
O 5.8842 8.0807 9.4660
O 6.0081 1.5651 6.5829
O 6.3145 4.9019 0.5703
O 6.3367 8.0607 7.0598
O 6.3968 0.0611 0.7227
O 6.7109 10.1014 8.3470
O 6.8187 2.8507 4.0268

8
Lattice="7.6615 0.0000 0.0000 -3.8307 6.6350 0.0000 0.0000 0.0000 6.0828" Properties=species:S:1:pos:R:3 comment="SrNd3 | Materials Project | PBE | optimized geometry" energy_ev_per_atom=-3.856 total_magnetization_mub_per_cell=0.330 pbc="T T T"
Sr 0.0000 4.4234 1.5207
Sr 3.8307 2.2117 4.5621
Nd 0.0000 2.1224 4.5621
Nd -1.9927 5.5738 4.5621
Nd 1.8381 1.0612 1.5207
Nd 1.9927 5.5738 4.5621
Nd 5.8234 1.0612 1.5207
Nd 3.8307 4.5126 1.5207

24
Lattice="-4.5835 4.5835 13.2182 4.5835 -4.5835 13.2182 4.5835 4.5835 -13.2182" Properties=species:S:1:pos:R:3 comment="HgI2 | Materials Project | PBE | optimized geometry" energy_ev_per_atom=-1.426 pbc="T T T"
Hg 4.5835 0.0417 4.9203
Hg 2.3335 2.2917 1.6888
Hg 6.8335 2.2917 1.6888
Hg 0.0000 0.0417 8.2979
Hg 4.5835 4.5417 4.9203
Hg -2.2500 2.2917 11.5294
Hg 2.2500 2.2917 11.5294
Hg 0.0000 4.5417 8.2979
I 4.5835 -2.2917 6.6272
I 2.2194 -0.0723 3.3045
I 6.9475 -0.0723 3.3045
I 4.5835 2.2917 -0.0724
I 4.5835 -2.2917 13.2000
I 2.2194 4.5112 -3.3045
I 2.3641 -0.0723 9.9136
I 0.0000 2.2917 6.5367
I 4.5835 2.2917 6.6815
I 2.2194 4.6558 3.3045
I 2.3641 0.0723 16.5227
I 0.0000 6.8752 0.0182
I 0.0000 2.2917 13.2906
I -2.3641 4.6558 9.9136
I 2.3641 4.6558 9.9136
I 0.0000 6.8752 6.5909

60
Lattice="3.4528 -5.9937 0.0000 3.4528 5.9937 0.0000 -0.2271 0.0000 19.7950" Properties=species:S:1:pos:R:3 comment="CaSiO3 | Materials Project | PBE | optimized geometry" energy_ev_per_atom=-7.471 total_magnetization_mub_per_cell=0.000 pbc="T T T"
Ca 0.0000 0.0000 0.0000
Ca -0.1135 0.0000 9.8975
Ca 3.2825 5.9281 14.8462
Ca 3.2527 1.9672 9.8888
Ca 3.2825 2.0519 14.8462
Ca 3.3960 1.8800 4.9487
Ca 3.5394 1.9672 0.0087
Ca 3.1391 -1.9672 19.7863
Ca 3.2825 -1.8800 14.8462
Ca 3.3960 -2.0519 4.9487
Ca 3.4259 -1.9672 9.9062
Ca 3.3960 -5.9281 4.9487
Si 1.8591 3.5631 17.3764
Si 2.7261 3.9516 7.3659
Si 1.8254 0.4656 17.3218
Si 4.0659 3.9516 2.5316
Si 1.9389 -0.4656 7.4244
Si 4.7059 3.5631 12.3161
Si 1.9726 -3.5631 7.4789
Si 4.7396 0.4656 12.3706
Si 2.6126 -3.9516 17.2634
Si 4.8531 -0.4656 2.4731
Si 3.9524 -3.9516 12.4291
Si 4.8194 -3.5631 2.4186
O 2.1861 4.1415 18.8443
O 2.2634 4.2055 15.9640
O 3.0681 5.3051 2.4971
O 1.1618 2.0654 13.8975
O 1.2590 2.0405 11.0171
O 3.7240 5.3051 7.4004
O 2.4975 2.0062 17.3463
O 3.0381 2.6186 2.4768
O 4.3016 4.2055 13.7284
O 4.3789 4.1415 10.8482
O 2.2587 0.1765 8.8581
O 2.3150 0.1454 5.9906
O 3.7540 2.6186 7.4206
O 2.1452 -0.1765 18.7556
O 2.2015 -0.1454 15.8881
O 1.2754 -2.0654 4.0000
O 1.3725 -2.0405 1.1196
O 4.0675 2.0062 12.3462
O 2.6110 -2.0062 7.4488
O 5.3060 2.0405 18.6754
O 5.4031 2.0654 15.7949
O 4.4770 0.1454 3.9069
O 4.5333 0.1765 1.0394
O 2.9246 -2.6186 12.3743
O 4.3635 -0.1454 13.8044
O 4.4198 -0.1765 10.9369
O 2.2996 -4.1415 8.9468
O 2.3769 -4.2055 6.0666
O 3.6404 -2.6186 17.3181
O 4.1810 -2.0062 2.4487
O 2.9545 -5.3051 12.3945
O 5.4195 -2.0405 8.7779
O 5.5167 -2.0654 5.8974
O 3.6104 -5.3051 17.2979
O 4.4151 -4.2055 3.8309
O 4.4924 -4.1415 0.9507

8
Lattice="2.3321 1.3464 14.0735 -2.3321 1.3464 14.0735 0.0000 -2.6928 14.0735" Properties=species:S:1:pos:R:3 comment="Sn3BiTe4 | Materials Project | PBE | optimized geometry" energy_ev_per_atom=-3.773 total_magnetization_mub_per_cell=0.013 pbc="T T T"
Sn 0.0000 0.0000 0.0000
Sn 0.0000 0.0000 10.5975
Sn 0.0000 0.0000 31.6230
Bi 0.0000 0.0000 21.1102
Te 0.0000 0.0000 5.2907
Te 0.0000 0.0000 15.8506
Te 0.0000 0.0000 26.3699
Te 0.0000 0.0000 36.9298

121
Lattice="9.9033 -5.7938 0.0000 9.9033 5.7938 0.0000 -3.2307 0.0000 16.2284" Properties=species:S:1:pos:R:3 comment="Bi32P10Pb3O76 | Materials Project | PBE | optimized geometry" energy_ev_per_atom=-6.269 total_magnetization_mub_per_cell=0.212 pbc="T T T"
Bi -1.6143 0.4427 12.8016
Bi 1.9729 2.2434 13.4146
Bi 6.9190 3.8974 9.6886
Bi 0.5590 0.0000 9.6271
Bi 3.9695 1.9088 9.8979
Bi 8.0339 2.6027 3.2919
Bi 9.6568 3.8974 6.5399
Bi 3.2943 -0.1489 6.4776
Bi 4.8455 0.2572 3.3504
Bi 0.0179 -1.7281 15.7856
Bi 6.6823 0.2941 0.0424
Bi 8.5420 2.6027 12.9366
Bi 5.1500 0.5323 13.1887
Bi 7.1030 0.0626 9.7659
Bi 3.8177 -1.9506 9.6987
Bi 12.6064 1.9088 6.3305
Bi 9.4728 0.0626 6.4625
Bi 11.4258 0.5323 3.0398
Bi 6.2435 -2.1264 6.3739
Bi 14.6030 2.2434 2.8139
Bi 9.8935 0.2941 16.1860
Bi 9.9033 -1.7646 0.0000
Bi 4.9250 -3.6053 13.0755
Bi 11.7303 0.2572 12.8781
Bi 13.2815 -0.1489 9.7508
Bi 10.3323 -2.1264 9.8545
Bi 16.0168 0.0000 6.6014
Bi 12.7581 -1.9506 6.5297
Bi 18.1901 0.4427 3.4268
Bi 11.6508 -3.6053 3.1529
Bi 9.9033 -5.6497 0.0000
Bi 16.5579 -1.7281 0.4428
P 6.1731 1.8806 6.7368
P 1.7479 -1.3697 12.8444
P 10.4027 1.8806 9.4917
P 8.2569 -1.2799 3.2385
P 8.3189 -1.2799 12.9899
P 3.5095 -3.7751 16.1098
P 6.8636 -3.8801 9.7360
P 9.7123 -3.8801 6.4924
P 14.8279 -1.3697 3.3840
P 13.0663 -3.7751 0.1187
Pb 5.0391 4.2356 13.1211
Pb 11.5368 4.2356 3.1073
Pb 9.9033 2.2232 0.0000
O -0.8617 1.1452 15.3264
O 1.3369 1.8227 10.4100
O 0.5879 0.8092 7.3154
O 5.5291 3.1717 2.6940
O 1.3902 2.2299 15.8151
O 8.1017 4.4872 2.1079
O 5.3169 4.3521 15.5782
O 3.2152 1.2467 1.4921
O 5.4846 3.0249 7.5722
O 7.5283 4.4537 11.7011
O 9.0476 4.4537 4.5273
O 2.8620 0.6575 4.1936
O 3.7645 1.9122 12.0241
O 5.3659 1.6537 5.4540
O 8.4741 4.4872 14.1206
O 3.7714 1.6952 14.5579
O 11.2590 4.3521 0.6503
O 7.4594 2.1047 1.0608
O 0.6816 -0.8051 11.8176
O 2.6397 -0.2623 9.1440
O 6.2739 1.9708 10.4010
O 7.6633 2.2400 6.4610
O 1.9637 -0.2786 13.9400
O 6.5040 2.1496 13.6238
O 1.8575 -1.6600 5.9498
O 6.1364 0.5428 7.5940
O 10.0718 2.1496 2.6046
O 8.9125 2.2400 9.7674
O 4.0485 -1.5242 2.2867
O 11.0913 3.0249 8.6562
O 4.7434 -1.1378 5.0642
O 5.0805 -0.3240 10.3538
O 10.3020 1.9708 5.8275
O 11.0467 3.1717 13.5345
O 3.0906 -1.6862 12.1274
O 7.3189 -0.4449 2.3145
O 9.1165 2.1047 15.1677
O 5.4625 -0.0620 15.5456
O 4.2815 -1.9027 7.5145
O 8.9692 -0.2345 4.1997
O 12.8044 1.6952 1.6706
O 12.8114 1.9122 4.2044
O 7.6067 -0.2345 12.0287
O 11.2100 1.6537 10.7744
O 10.4394 0.5428 8.6345
O 11.1134 -0.0620 0.6828
O 15.1857 2.2299 0.4134
O 4.2205 -2.4270 15.8252
O 7.4330 -2.3050 4.0489
O 6.7243 -2.5064 9.0043
O 9.2569 -0.4449 13.9140
O 9.3835 -1.9589 2.3856
O 11.4954 -0.3240 5.8747
O 7.1923 -1.9589 13.8428
O 15.2390 1.8227 5.8185
O 13.3606 1.2467 14.7364
O 6.1916 -3.7668 11.1381
O 13.7139 0.6575 12.0349
O 9.1429 -2.3050 12.1795
O 14.6121 -0.2786 2.2885
O 9.8516 -2.5064 7.2242
O 17.4375 1.1452 0.9020
O 13.9361 -0.2623 7.0845
O 11.8324 -1.1378 11.1642
O 15.9880 0.8092 8.9130
O 12.3554 -2.4270 0.4032
O 8.2330 -4.3044 6.3085
O 13.4853 -1.6862 4.1010
O 12.2943 -1.9027 8.7139
O 8.3429 -4.3044 9.9200
O 6.3564 -5.1150 13.7962
O 10.3842 -3.7668 5.0903
O 12.5273 -1.5242 13.9417
O 15.8943 -0.8051 4.4108
O 10.2194 -5.1150 2.4322
O 14.7184 -1.6600 10.2787

9
Lattice="7.0801 0.0000 0.0000 -3.5400 6.1315 0.0000 0.0000 0.0000 4.0785" Properties=species:S:1:pos:R:3 comment="PrAlNi | Materials Project | PBE | optimized geometry" energy_ev_per_atom=-5.258 pbc="T T T"
Pr -2.0569 3.5627 0.0000
Pr 1.4831 2.5688 0.0000
Pr 4.1139 0.0000 0.0000
Al -0.8019 1.3889 2.0393
Al 1.6038 0.0000 2.0393
Al 2.7382 4.7426 2.0393
Ni 0.0000 0.0000 0.0000
Ni 0.0000 4.0877 2.0393
Ni 3.5400 2.0438 2.0393

1
Lattice="-1.6611 1.6611 1.6611 1.6611 -1.6611 1.6611 1.6611 1.6611 -1.6611" Properties=species:S:1:pos:R:3 comment="Ta | Materials Project | PBE | optimized geometry" energy_ev_per_atom=-11.858 relative_energy_ev_per_fu=0.00 pbc="T T T"
Ta 0.0000 0.0000 0.0000

no.,energy of formation (eV/atom)
1,0.23
2,-1.41
3,0.14
4,-0.56
5,-3.43
6,-0.42
7,-2.02
8,-0.49
9,0.00